No. 1
## CePu4 (PBE)

Data for CePu4 after structural relaxation.

```
5
Lattice="-7.134 4.318 10.446 -4.630 3.049 12.163 -4.446 6.128 11.016" Properties=species:S:1:pos:R:3 pbc="T T T"
Pu -6.526 5.433 13.537
Pu -3.229 2.688 6.698
Pu -12.981 10.807 26.928
Pu -9.684 8.062 20.089
Ce 0.000 0.000 0.000
```

Computed properties:
**Total magnetization**: 9.38 μB per formula unit
**E_tot**: -11.8946 eV per atom
**Formation energy**: 706 meV/atom
**Crystal system**: trigonal


No. 2
## NaH2SO4 (PBE)

Data for NaH2SO4 after structural relaxation.

```
64
Lattice="-3.956 -4.115 3.864 8.084 -7.307 0.494 3.843 4.868 9.119" Properties=species:S:1:pos:R:3 pbc="T T T"
O 3.195 -3.293 11.866
O 7.328 -4.263 11.925
O 2.607 -2.186 3.403
O 6.774 -3.338 6.195
O 4.776 -3.261 1.610
O 3.538 -3.562 5.234
O 0.644 -2.292 1.551
O 5.751 -6.260 8.186
O 0.802 0.899 7.733
O 5.018 -6.704 4.798
O 6.332 -8.513 3.758
O 1.198 -3.216 7.281
O 5.613 -2.201 3.596
O 1.639 1.959 9.719
O 4.433 -2.992 8.242
O 8.350 -1.342 9.935
O 8.563 -3.414 8.216
O -0.591 -3.141 5.260
O 7.169 -7.453 5.744
O -2.172 -2.246 6.938
O -0.378 -5.213 3.542
O 5.292 -1.905 10.279
O 2.220 -0.295 5.291
O 2.954 0.149 8.678
O 2.358 -4.353 9.881
O 10.144 -4.309 6.538
O 6.632 -4.318 2.844
O 11.002 -3.221 8.575
O -3.031 -3.333 4.901
O 2.680 -4.650 3.197
O 5.365 -4.368 10.074
O 1.339 -2.237 10.632
S -1.928 -2.541 5.504
S 2.070 -7.124 6.265
S 5.902 0.570 7.211
S 1.565 0.644 8.999
S 4.654 -3.117 9.705
S 9.900 -4.013 7.973
S 6.406 -7.199 4.477
S 3.317 -3.438 3.771
H -0.299 -4.513 4.244
H 2.220 -0.911 4.511
H 8.271 -2.041 9.233
H 7.977 -0.520 9.554
H 6.687 -6.496 8.018
H -0.234 -1.982 1.856
H 8.205 -4.573 11.620
H 1.513 -4.111 7.526
H 6.458 -2.444 5.951
H 7.333 -3.228 7.009
H 0.638 -3.326 6.467
H -0.005 -6.034 3.923
H 6.688 -4.456 11.189
H 1.284 -0.059 5.459
H 1.283 -2.098 2.288
H 5.751 -5.643 8.966
Na 2.988 -1.652 7.037
Na 4.984 -4.902 6.439
Na -0.343 -2.487 8.887
Na 1.149 -0.598 12.426
Na 4.479 0.237 10.577
Na 3.492 -6.792 2.900
Na 6.823 -5.957 1.050
Na 8.314 -4.067 4.590
```

Computed properties:
**Total magnetization**: 0.00 μB per formula unit
**Excess energy over the best structure of this formula in the dataset**: 134 meV per atom
**E_tot**: -5.2497 eV per atom
**Formation energy**: -1589 meV/atom
**Crystal system**: orthorhombic


No. 3
## EuAl3Ag2 (PBE)

Data for EuAl3Ag2 after structural relaxation.

```
6
Lattice="-5.078 0.532 2.286 0.768 -3.454 -4.333 0.911 -3.300 2.792" Properties=species:S:1:pos:R:3 pbc="T T T"
Al 0.840 -3.377 -0.771
Al -2.083 -1.384 2.539
Al -1.699 -3.111 0.372
Eu 0.000 0.000 0.000
Ag -3.129 -0.796 0.080
Ag -1.180 -2.125 -2.127
```

Computed properties:
**E_tot**: -4.8541 eV per atom
**Formation energy**: -328 meV/atom
**Crystal system**: hexagonal


No. 4
## Dy3Si3Ni (PBE)

Data for Dy3Si3Ni after structural relaxation.

```
7
Lattice="0.926 3.840 0.343 -1.445 0.003 3.869 7.674 -0.257 5.072" Properties=species:S:1:pos:R:3 pbc="T T T"
Si 4.687 0.366 6.160
Si 6.464 1.925 6.823
Si 2.389 3.241 3.095
Dy -0.510 3.840 4.216
Dy 5.210 2.467 4.149
Dy 1.898 1.132 5.117
Ni 0.806 1.629 2.505
```

Computed properties:
**Total magnetization**: 0.03 μB per formula unit
**E_tot**: -5.9093 eV per atom
**Formation energy**: -784 meV/atom
**Crystal system**: orthorhombic


No. 5
## YMg14BiO16 (PBE)

Data for YMg14BiO16 after structural relaxation.

```
32
Lattice="4.428 0.000 0.000 0.000 8.875 0.000 0.000 0.000 9.098" Properties=species:S:1:pos:R:3 pbc="T T T"
Mg 0.000 0.000 4.549
Mg 2.214 6.648 4.549
Mg 2.214 0.000 6.666
Mg 0.000 2.264 6.668
Mg 2.214 0.000 2.432
Mg 2.214 4.438 2.437
Mg 0.000 2.264 2.430
Mg 2.214 4.438 6.661
Mg 0.000 6.612 2.430
Mg 2.214 2.228 4.549
Mg 2.214 6.646 0.000
Mg 0.000 4.438 4.549
Mg 0.000 6.612 6.668
Mg 2.214 2.229 0.000
O 2.214 0.000 4.549
O 0.000 2.136 4.549
O 2.214 2.212 6.832
O 2.214 0.000 0.000
O 2.214 6.663 6.832
O 0.000 0.000 2.352
O 2.214 4.438 0.000
O 2.214 6.663 2.266
O 0.000 4.438 2.626
O 2.214 2.212 2.266
O 0.000 6.746 0.000
O 0.000 6.740 4.549
O 0.000 2.129 0.000
O 0.000 4.438 6.472
O 0.000 0.000 6.746
O 2.214 4.438 4.549
Y 0.000 0.000 0.000
Bi 0.000 4.438 0.000
```

Computed properties:
**Total magnetization**: 0.00 μB per formula unit
**Excess energy over the best structure of this formula in the dataset**: 10 meV per atom
**E_tot**: -5.8816 eV per atom
**Formation energy**: -2727 meV/atom
**Crystal system**: orthorhombic


No. 6
## NaH2SNO3 (PBE)

Data for NaH2SNO3 after structural relaxation.

```
96
Lattice="5.639 0.000 0.000 0.000 12.817 0.000 0.000 0.000 15.940" Properties=species:S:1:pos:R:3 pbc="T T T"
H 5.626 8.263 14.996
H 1.916 0.045 15.651
H 2.906 11.232 8.436
H 2.768 12.209 14.356
H 2.807 10.962 0.944
H 0.554 6.408 7.629
H 5.552 1.585 0.466
H 5.208 3.224 8.091
H 3.374 0.000 8.311
H 0.086 7.993 7.504
H 4.735 6.364 0.288
H 2.871 5.801 9.554
H 5.084 12.817 0.341
H 0.430 9.632 15.819
H 2.389 3.185 7.849
H 2.733 4.824 15.474
H 3.723 6.453 8.258
H 0.051 0.607 6.386
H 0.012 1.855 8.914
H 2.265 6.409 15.599
H 5.587 7.016 1.584
H 3.250 9.593 0.121
H 0.904 12.772 7.682
H 2.832 4.554 7.026
O 1.498 7.177 5.202
O 0.417 11.375 13.804
O 2.053 11.108 10.883
O 4.514 2.688 5.948
O 1.322 5.640 13.172
O 3.236 7.850 2.136
O 4.580 4.474 2.289
O 4.141 0.768 2.768
O 0.103 9.322 12.478
O 0.139 3.936 0.231
O 3.586 4.700 13.027
O 0.452 12.107 2.868
O 1.125 9.096 2.022
O 2.716 3.495 4.508
O 1.058 10.882 5.681
O 1.695 3.721 9.992
O 4.171 1.633 13.732
O 2.923 9.903 3.462
O 5.187 5.698 5.102
O 2.958 2.472 15.709
O 4.872 8.117 5.057
O 5.535 2.914 11.432
O 3.944 10.129 13.918
O 1.352 4.775 2.208
O 2.402 1.442 5.834
O 5.500 10.345 7.739
O 2.368 0.710 10.838
O 1.467 8.042 10.178
O 3.877 8.343 10.259
O 5.221 4.967 10.106
O 3.271 7.119 13.072
O 0.767 1.709 2.913
O 4.317 12.048 10.738
O 2.681 8.880 8.201
O 4.287 11.184 5.762
O 1.761 1.935 13.651
S 0.066 7.001 5.525
S 2.924 1.624 14.519
S 2.581 9.157 2.233
S 2.753 5.816 13.495
S 2.885 12.224 10.415
S 5.401 10.068 13.707
S 5.572 0.593 2.445
S 5.534 11.193 6.549
S 0.105 4.784 1.421
S 2.715 8.032 9.391
S 3.057 2.748 5.737
S 0.238 3.660 10.203
N 2.946 5.778 15.160
N 2.841 6.489 8.793
N 5.512 7.039 7.190
N 2.797 0.080 15.117
N 5.616 6.328 0.823
N 0.022 12.736 7.147
N 0.127 0.630 0.780
N 2.693 12.186 8.750
N 2.345 3.660 6.940
N 5.164 2.749 9.000
N 3.294 10.068 1.030
N 0.474 9.157 14.910
Na 5.626 10.076 10.074
Na 0.013 3.667 13.836
Na 2.560 12.353 4.373
Na 2.832 2.741 2.104
Na 2.806 9.149 5.866
Na 5.379 10.009 3.644
Na 5.379 6.873 11.567
Na 2.560 9.217 12.296
Na 0.260 0.464 12.343
Na 3.078 2.808 11.614
Na 3.079 5.944 3.597
Na 0.259 3.600 4.326
```

Computed properties:
**Total magnetization**: 0.04 μB per formula unit
**Excess energy over the best structure of this formula in the dataset**: 0 meV per atom
**E_tot**: -5.5459 eV per atom
**Formation energy**: -1375 meV/atom
**Crystal system**: orthorhombic


No. 7
## AgC4Br2O2 (PBE)

Data for AgC4Br2O2 after structural relaxation.

```
36
Lattice="-2.272 -4.726 -2.519 4.893 -5.720 6.319 -5.217 -3.561 11.384" Properties=species:S:1:pos:R:3 pbc="T T T"
Br -1.324 -2.099 3.512
Br -0.645 -5.222 4.377
Br 1.924 -8.904 6.631
Br -1.272 -11.908 11.671
Br -1.951 -8.785 10.806
Br -0.236 -8.864 4.123
Br -2.360 -5.143 11.060
Br -4.520 -5.103 8.552
C -5.641 -8.513 11.138
C 1.431 -9.748 3.933
C -3.086 -6.843 5.387
C 3.994 -5.637 5.225
C -0.167 -9.426 10.746
C 0.841 -8.551 10.313
C -4.027 -4.259 11.250
C 2.322 -9.809 5.013
C -2.429 -4.581 4.437
C -6.590 -8.370 9.958
C -2.721 -3.275 4.021
C -4.918 -4.199 10.170
C 0.490 -7.164 9.796
C 3.045 -5.494 4.046
C -3.437 -5.457 4.870
C 0.125 -10.732 11.162
O -4.989 -7.482 11.471
O -3.400 -7.821 4.649
O 2.393 -6.525 3.712
O 0.804 -6.186 10.534
O -0.083 -7.118 8.655
O -0.383 -6.104 0.306
O -2.213 -7.903 14.877
O -2.513 -6.890 6.528
Ag -3.988 -10.224 13.195
Ag -1.050 -5.215 7.866
Ag 1.392 -3.783 1.989
Ag -1.546 -8.792 7.317
```

Computed properties:
**Total magnetization**: 0.00 μB per formula unit
**E_tot**: -6.0796 eV per atom
**Formation energy**: -353 meV/atom
**Crystal system**: monoclinic


No. 8
## Sr2Mg3H10 (PBE)

Data for Sr2Mg3H10 after structural relaxation.

```
30
Lattice="-1.428 -6.489 6.389 2.787 -3.113 8.216 -4.457 2.641 5.402" Properties=species:S:1:pos:R:3 pbc="T T T"
Mg -2.365 0.738 4.092
Mg -0.733 -7.698 15.915
Mg -4.140 0.923 7.845
Mg -0.341 -5.619 6.860
Mg 1.701 -3.983 7.745
Mg 1.042 -7.883 12.162
H 1.394 -1.556 4.108
H -2.551 -2.546 14.633
H -0.714 -3.244 3.195
H -2.863 -0.389 7.323
H -2.132 -6.338 16.631
H -0.337 -4.059 12.807
H -4.467 -4.081 13.803
H -3.638 1.965 4.761
H -2.483 -5.778 11.877
H -0.415 -2.572 10.495
H 0.540 -8.925 15.246
H -0.614 -1.182 8.131
H -0.966 -0.622 3.377
H -0.547 -4.414 5.374
H -2.912 -2.816 11.923
H -0.235 -6.571 12.684
H -0.186 -4.144 8.085
H -2.683 -4.388 9.512
H -2.761 -2.901 7.200
H 1.369 -2.879 6.205
Sr -2.093 -5.084 14.222
Sr -2.692 -1.776 9.491
Sr -1.005 -1.876 5.785
Sr -0.406 -5.184 10.516
```

Computed properties:
**Total magnetization**: 0.00 μB per formula unit
**E_tot**: -3.1420 eV per atom
**Formation energy**: -454 meV/atom
**Crystal system**: monoclinic


No. 9
## CaCO3 (PBE)

Data for CaCO3 after structural relaxation.

```
10
Lattice="4.343 0.000 0.000 0.000 4.961 0.000 0.000 0.000 5.141" Properties=species:S:1:pos:R:3 pbc="T T T"
O 3.777 3.617 2.570
O 0.566 3.825 0.000
O 0.566 1.136 0.000
O 3.777 1.345 2.570
O 2.987 0.000 0.000
O 1.356 2.481 2.570
C 4.299 0.000 0.000
C 0.044 2.481 2.570
Ca 1.705 0.000 2.570
Ca 2.639 2.481 0.000
```

Computed properties:
**Total magnetization**: 0.00 μB per formula unit
**E_tot**: -7.3226 eV per atom
**Formation energy**: -2519 meV/atom
**Crystal system**: orthorhombic


No. 10
## K2BeSi4O10 (PBE)

Data for K2BeSi4O10 after structural relaxation.

```
68
Lattice="9.876 0.000 0.000 0.000 7.046 0.000 0.000 6.114 13.943" Properties=species:S:1:pos:R:3 pbc="T T T"
O 5.634 4.868 5.724
O 2.378 11.047 13.227
O 7.316 5.170 7.688
O 2.560 7.990 6.255
O 4.773 6.321 3.576
O 9.112 6.449 3.079
O 7.770 6.421 5.374
O 7.043 9.478 12.346
O 6.711 6.764 12.611
O 8.102 3.707 5.639
O 4.285 1.521 2.266
O 5.521 3.782 1.552
O 4.355 9.377 12.392
O 7.254 2.709 3.293
O 0.165 9.378 10.547
O 3.083 5.483 5.473
O 5.591 11.638 11.677
O 6.793 7.677 8.470
O 8.021 4.620 1.499
O 5.103 6.839 10.368
O 9.179 7.925 12.695
O 5.701 9.506 10.051
O 2.105 6.738 8.569
O 4.175 3.654 3.892
O 2.832 3.681 1.597
O 7.497 2.113 0.716
O 0.696 5.235 1.248
O 7.560 5.766 10.265
O 1.855 8.540 12.445
O 0.583 6.320 5.420
O 0.763 6.711 10.864
O 0.653 4.578 9.238
O 9.293 6.839 8.523
O 4.241 8.292 8.220
O 9.711 3.782 3.396
O 2.622 10.451 10.650
O 2.316 7.394 3.678
O 3.164 6.395 1.333
O 1.774 9.452 8.304
O 9.223 8.581 4.705
K 8.646 9.721 8.256
K 6.167 6.664 1.284
K 3.708 6.495 12.659
K 1.230 3.438 5.687
K 4.166 4.628 8.828
K 0.772 1.571 1.856
K 5.710 8.531 5.115
K 9.104 11.588 12.087
Si 7.255 5.001 6.042
Si 0.731 6.164 9.289
Si 7.559 8.058 13.013
Si 2.801 9.883 12.130
Si 0.479 8.182 11.565
Si 7.739 6.333 8.785
Si 5.669 10.053 11.626
Si 2.137 6.826 5.158
Si 9.145 6.996 4.654
Si 2.317 5.102 0.930
Si 4.459 5.125 4.593
Si 9.397 4.978 2.379
Si 5.416 8.035 9.350
Si 7.075 3.276 1.813
Si 4.207 3.107 2.318
Si 2.621 8.159 7.902
Be 8.537 2.925 4.249
Be 3.599 7.177 2.722
Be 1.339 10.234 9.694
Be 6.277 5.982 11.221
```

Computed properties:
**Total magnetization**: 0.00 μB per formula unit
**E_tot**: -7.2348 eV per atom
**Formation energy**: -3101 meV/atom
**Crystal system**: monoclinic


No. 11
## Bi2SeO2 (PBE)

Data for Bi2SeO2 after structural relaxation.

```
5
Lattice="-3.020 0.897 -2.347 -2.424 -2.002 2.354 1.683 5.695 3.299" Properties=species:S:1:pos:R:3 pbc="T T T"
O -1.732 1.570 2.829
O -2.029 3.020 0.478
Bi -3.028 0.961 0.976
Bi -0.733 3.629 2.331
Se 0.000 0.000 0.000
```

Computed properties:
**E_tot**: -5.2165 eV per atom
**Formation energy**: -1257 meV/atom
**Crystal system**: tetragonal